#P
! GGA+U CaNi2O4, relaxed; values from VASP
&SYSTEM
  ibrav = 0, nat = 56, ntyp = 3
/
ATOMIC_SPECIES
Ca 40.08 Ca.upf
Ni 58.69 Ni.upf
O 16.00 O.upf
ATOMIC_POSITIONS crystal
Ca 0.164 0.118 0.025
Ca 0.995 0.502 0.126
Ca 0.145 0.108 0.285
Ca 0.007 0.496 0.375
Ca 0.998 0.499 0.626
Ca 0.498 0.507 0.497
Ca 0.987 0.505 0.876
Ca 0.501 0.493 0.753
Ni 0.501 0.496 0.124
Ni 0.501 0.502 0.249
Ni 0.501 0.005 0.124
Ni 0.133 0.111 0.536
Ni 0.506 0.491 0.373
Ni 0.843 0.889 0.220
Ni 0.150 0.111 0.782
Ni 0.506 0.011 0.373
Ni 0.499 0.502 0.625
Ni 0.857 0.888 0.467
Ni 0.499 0.998 0.625
Ni 0.500 0.989 0.876
Ni 0.500 0.509 0.876
Ni 0.865 0.887 0.715
Ni 0.499 0.494 0.003
Ni 0.831 0.890 0.972
O 0.314 0.257 0.062
O 0.324 0.242 0.173
O 0.314 0.683 0.062
O 0.723 0.271 0.059
O 0.236 0.758 0.187
O 0.319 0.258 0.310
O 0.696 0.289 0.190
O 0.276 0.229 0.441
O 0.319 0.682 0.310
O 0.680 0.764 0.073
O 0.702 0.257 0.321
O 0.696 0.757 0.190
O 0.272 0.220 0.568
O 0.261 0.781 0.419
O 0.730 0.269 0.428
O 0.296 0.232 0.685
O 0.272 0.735 0.568
O 0.709 0.765 0.316
O 0.762 0.235 0.567
O 0.730 0.788 0.428
O 0.246 0.765 0.681
O 0.267 0.213 0.821
O 0.722 0.267 0.682
O 0.331 0.251 0.916
O 0.267 0.738 0.821
O 0.706 0.767 0.565
O 0.790 0.223 0.816
O 0.722 0.781 0.682
O 0.262 0.722 0.949
O 0.690 0.289 0.944
O 0.687 0.767 0.819
O 0.690 0.745 0.944
CELL_PARAMETERS angstrom
-5.206 2.159 -2.534
-5.071 0.531 3.426
-8.018 21.628 6.807
! * volume: 649 Å³/cell
! * SG: Cm (8)

#Q
! GGA+U CaNi2O4, relaxed; values from VASP
&SYSTEM
  ibrav = 0, nat = 14, ntyp = 3
/
ATOMIC_SPECIES
Ca 40.08 Ca.upf
Ni 58.69 Ni.upf
O 16.00 O.upf
ATOMIC_POSITIONS crystal
Ca 0.352 0.145 0.146
Ca 0.647 0.833 0.891
Ni 0.590 0.211 0.621
Ni 0.161 0.491 0.196
Ni 0.845 0.487 0.833
Ni 0.418 0.766 0.405
O 0.881 0.670 0.579
O 0.431 0.343 0.805
O 0.576 0.630 0.227
O 0.126 0.309 0.448
O 0.104 0.050 0.757
O 0.761 0.359 0.123
O 0.909 0.924 0.257
O 0.241 0.621 0.907
CELL_PARAMETERS angstrom
-2.016 -2.015 0.971
4.612 -7.033 -0.378
2.697 -1.777 6.486
! * volume: 166 Å³/cell
! * SG: P1 (1)

Which structure loses on stability? #P does.